HfTiB4 | GGA-PBE | optimized geometry

Cell and atoms, written as CIF:
```
data_HfTiB4
_chemical_formula_sum 'Hf1 Ti1 B4'
_cell_length_a 3.0956
_cell_length_b 3.0956
_cell_length_c 6.7044
_cell_angle_alpha 90.00
_cell_angle_beta 90.00
_cell_angle_gamma 120.00
_space_group_name_H-M_alt 'P 6/m m m'
_space_group_IT_number 191
_space_group_name_Hall '-P 6 2'
loop_
_atom_site_label
_atom_site_fract_x
_atom_site_fract_y
_atom_site_fract_z
_atom_site_occupancy
Hf1 0.0000 0.0000 0.0000 1
Ti1 0.0000 0.0000 0.5000 1
B1 0.3333 0.6667 0.2625 1
```

Values from the calculation:
* volume: 9.27 Å³/atom
* ΔH_f (0 K): -6.1 eV/f.u.


Hf9B2W3 | GGA-PBE | optimized geometry

Cell and atoms, written as CIF:
```
data_Hf9B2W3
_chemical_formula_sum 'Hf18 B4 W6'
_cell_length_a 8.4200
_cell_length_b 8.4200
_cell_length_c 8.4654
_cell_angle_alpha 90.00
_cell_angle_beta 90.00
_cell_angle_gamma 120.00
_space_group_name_H-M_alt 'P 63/m m c'
_space_group_IT_number 194
_space_group_name_Hall '-P 6c 2c'
loop_
_atom_site_label
_atom_site_fract_x
_atom_site_fract_y
_atom_site_fract_z
_atom_site_occupancy
Hf1 0.0807 0.5404 0.2500 1
Hf2 0.2007 0.4014 0.5550 1
B1 0.0000 0.0000 0.0000 1
B2 0.3333 0.6667 0.7500 1
W1 0.1079 0.2158 0.2500 1
```

Values from the calculation:
* total magnetic moment: 0.001 μB per cell
* volume: 18.56 Å³/atom
* ΔH_f (0 K): -1.2 eV/f.u.


HfZrB4 | GGA-PBE | optimized geometry

Cell and atoms, written as CIF:
```
data_HfZrB4
_chemical_formula_sum 'Hf1 Zr1 B4'
_cell_length_a 3.163
_cell_length_b 3.520
_cell_length_c 5.480
_cell_angle_alpha 90.00
_cell_angle_beta 90.00
_cell_angle_gamma 90.00
_space_group_name_H-M_alt 'P m m m'
_space_group_IT_number 47
loop_
_space_group_symop_operation_xyz
'x,y,z'
'-x,-y,-z'
'-x,-y,z'
'x,y,-z'
'x,-y,-z'
'-x,y,z'
'-x,y,-z'
'x,-y,z'
loop_
_atom_site_label
_atom_site_fract_x
_atom_site_fract_y
_atom_site_fract_z
_atom_site_occupancy
Hf1 0.000 0.000 0.000 1
Zr1 0.500 0.000 0.500 1
B1 0.000 0.500 0.332 1
B2 0.500 0.500 0.165 1
```

Values from the calculation:
* volume: 10.17 Å³/atom
* ΔH_f (0 K): -6.0 eV/f.u.


Hg3B | GGA-PBE | optimized geometry

Cell and atoms, written as CIF:
```
data_Hg3B
_chemical_formula_sum 'Hg6 B2'
_cell_length_a 6.085
_cell_length_b 5.172
_cell_length_c 6.153
_cell_angle_alpha 90.00
_cell_angle_beta 119.52
_cell_angle_gamma 90.00
_space_group_name_H-M_alt 'P 1 21/m 1'
_space_group_IT_number 11
loop_
_space_group_symop_operation_xyz
'x,y,z'
'-x,-y,-z'
'-x,y+1/2,-z'
'x,-y+1/2,z'
loop_
_atom_site_label
_atom_site_fract_x
_atom_site_fract_y
_atom_site_fract_z
_atom_site_occupancy
Hg1 0.159 0.250 0.330 1
Hg2 0.329 0.750 0.159 1
Hg3 0.329 0.750 0.671 1
B1 0.166 0.250 0.832 1
```

Values from the calculation:
* total magnetic moment: 0.000 μB per cell
* volume: 21.06 Å³/atom
* ΔH_f (0 K): 4.2 eV/f.u.


KHg2B | GGA-PBE | optimized geometry

Cell and atoms, written as CIF:
```
data_KHg2B
_chemical_formula_sum 'K4 Hg8 B4'
_cell_length_a 7.296
_cell_length_b 7.296
_cell_length_c 7.296
_cell_angle_alpha 90.00
_cell_angle_beta 90.00
_cell_angle_gamma 90.00
_space_group_name_H-M_alt 'F -4 3 m'
_space_group_IT_number 216
_space_group_name_Hall 'F -4 2 3'
loop_
_atom_site_label
_atom_site_fract_x
_atom_site_fract_y
_atom_site_fract_z
_atom_site_occupancy
K1 0.000 0.000 0.000 1
Hg1 0.000 0.000 0.500 1
Hg2 0.250 0.250 0.750 1
B1 0.250 0.250 0.250 1
```

Values from the calculation:
* total magnetic moment: 0.065 μB per cell
* volume: 24.27 Å³/atom
* ΔH_f (0 K): 3.6 eV/f.u.


HgB4O7 | GGA-PBE | optimized geometry

Cell and atoms, written as CIF:
```
data_HgB4O7
_chemical_formula_sum 'Hg2 B8 O14'
_cell_length_a 10.832
_cell_length_b 4.448
_cell_length_c 4.242
_cell_angle_alpha 90.00
_cell_angle_beta 90.00
_cell_angle_gamma 90.00
_space_group_name_H-M_alt 'P m n 21'
_space_group_IT_number 31
loop_
_space_group_symop_operation_xyz
'x,y,z'
'-x+1/2,-y,z+1/2'
'-x,y,z'
'x+1/2,-y,z+1/2'
loop_
_atom_site_label
_atom_site_fract_x
_atom_site_fract_y
_atom_site_fract_z
_atom_site_occupancy
Hg1 0.000 0.177 0.000 1
B1 0.121 0.674 0.516 1
B2 0.249 0.827 0.038 1
O1 0.000 0.767 0.624 1
O2 0.135 0.733 0.180 1
O3 0.142 0.356 0.587 1
O4 0.221 0.867 0.683 1
```

Values from the calculation:
* total magnetic moment: 0.001 μB per cell
* piezoelectric modulus e_max: 2.10 C/m²
* volume: 8.52 Å³/atom
* ΔH_f (0 K): -29.0 eV/f.u.
* E above lowest polymorph: 72.0 meV/atom


HgB4O7 | GGA-PBE | optimized geometry

Cell and atoms, written as CIF:
```
data_HgB4O7
_chemical_formula_sum 'Hg8 B32 O56'
_cell_length_a 8.558
_cell_length_b 8.966
_cell_length_c 14.385
_cell_angle_alpha 90.00
_cell_angle_beta 90.00
_cell_angle_gamma 90.00
_space_group_name_H-M_alt 'P b c a'
_space_group_IT_number 61
loop_
_space_group_symop_operation_xyz
'x,y,z'
'-x,-y,-z'
'-x+1/2,-y,z+1/2'
'x+1/2,y,-z+1/2'
'x+1/2,-y+1/2,-z'
'-x+1/2,y+1/2,z'
'-x,y+1/2,-z+1/2'
'x,-y+1/2,z+1/2'
loop_
_atom_site_label
_atom_site_fract_x
_atom_site_fract_y
_atom_site_fract_z
_atom_site_occupancy
Hg1 0.139 0.115 0.117 1
B1 0.007 0.166 0.766 1
B2 0.019 0.070 0.338 1
B3 0.049 0.718 0.562 1
B4 0.215 0.156 0.451 1
O1 0.030 0.181 0.256 1
O2 0.033 0.075 0.692 1
O3 0.039 0.616 0.647 1
O4 0.097 0.634 0.095 1
O5 0.112 0.232 0.979 1
O6 0.143 0.642 0.494 1
O7 0.173 0.062 0.381 1
```

Values from the calculation:
* volume: 11.50 Å³/atom
* ΔH_f (0 K): -29.8 eV/f.u.
* E above lowest polymorph: 0.0 meV/atom


Rb2HgB9Se9 | GGA-PBE | optimized geometry

Cell and atoms, written as CIF:
```
data_Rb2HgB9Se9
_chemical_formula_sum 'Rb4 Hg2 B18 Se18'
_cell_length_a 9.974
_cell_length_b 10.751
_cell_length_c 11.318
_cell_angle_alpha 100.14
_cell_angle_beta 90.63
_cell_angle_gamma 116.29
_space_group_name_H-M_alt 'P -1'
_space_group_IT_number 2
loop_
_space_group_symop_operation_xyz
'x,y,z'
'-x,-y,-z'
loop_
_atom_site_label
_atom_site_fract_x
_atom_site_fract_y
_atom_site_fract_z
_atom_site_occupancy
Rb1 0.176 0.344 0.004 1
Rb2 0.208 0.826 0.498 1
Hg1 0.325 0.318 0.575 1
B1 0.249 0.585 0.786 1
B2 0.251 0.087 0.280 1
B3 0.338 0.880 0.914 1
B4 0.339 0.008 0.039 1
B5 0.379 0.868 0.064 1
B6 0.424 0.064 0.906 1
B7 0.430 0.716 0.239 1
B8 0.484 0.837 0.948 1
B9 0.486 0.042 0.148 1
Se1 0.130 0.122 0.401 1
Se2 0.131 0.399 0.686 1
Se3 0.161 0.720 0.806 1
Se4 0.163 0.029 0.110 1
Se5 0.256 0.713 0.152 1
Se6 0.363 0.157 0.790 1
Se7 0.392 0.593 0.355 1
Se8 0.444 0.638 0.873 1
Se9 0.447 0.095 0.319 1
```

Values from the calculation:
* total magnetic moment: 0.000 μB per cell
* volume: 25.37 Å³/atom
* ΔH_f (0 K): -13.3 eV/f.u.


HoB12 | GGA-PBE | optimized geometry

Cell and atoms, written as CIF:
```
data_HoB12
_chemical_formula_sum 'Ho4 B48'
_cell_length_a 7.489
_cell_length_b 7.489
_cell_length_c 7.489
_cell_angle_alpha 90.00
_cell_angle_beta 90.00
_cell_angle_gamma 90.00
_space_group_name_H-M_alt 'F m -3 m'
_space_group_IT_number 225
_space_group_name_Hall '-F 4 2 3'
loop_
_atom_site_label
_atom_site_fract_x
_atom_site_fract_y
_atom_site_fract_z
_atom_site_occupancy
Ho1 0.000 0.000 0.000 1
B1 0.000 0.169 0.331 1
```

Values from the calculation:
* volume: 8.08 Å³/atom
* ΔH_f (0 K): -3.3 eV/f.u.


HoB6 | GGA-PBE | optimized geometry

Cell and atoms, written as CIF:
```
data_HoB6
_chemical_formula_sum 'Ho1 B6'
_cell_length_a 4.091
_cell_length_b 4.091
_cell_length_c 4.091
_cell_angle_alpha 90.00
_cell_angle_beta 90.00
_cell_angle_gamma 90.00
_space_group_name_H-M_alt 'P m -3 m'
_space_group_IT_number 221
_space_group_name_Hall '-P 4 2 3'
loop_
_atom_site_label
_atom_site_fract_x
_atom_site_fract_y
_atom_site_fract_z
_atom_site_occupancy
Ho1 0.000 0.000 0.000 1
B1 0.199 0.500 0.500 1
```

Values from the calculation:
* volume: 9.78 Å³/atom
* ΔH_f (0 K): -2.7 eV/f.u.


HoB2Ir3 | GGA-PBE | optimized geometry

Cell and atoms, written as CIF:
```
data_HoB2Ir3
_chemical_formula_sum 'Ho1 B2 Ir3'
_cell_length_a 5.4684
_cell_length_b 5.4684
_cell_length_c 3.1462
_cell_angle_alpha 90.00
_cell_angle_beta 90.00
_cell_angle_gamma 120.00
_space_group_name_H-M_alt 'P 6/m m m'
_space_group_IT_number 191
_space_group_name_Hall '-P 6 2'
loop_
_atom_site_label
_atom_site_fract_x
_atom_site_fract_y
_atom_site_fract_z
_atom_site_occupancy
Ho1 0.0000 0.0000 0.0000 1
B1 0.3333 0.6667 0.0000 1
Ir1 0.0000 0.5000 0.5000 1
```

Values from the calculation:
* volume: 13.58 Å³/atom
* ΔH_f (0 K): -4.2 eV/f.u.


HoB7Mo3 | GGA-PBE | optimized geometry

Cell and atoms, written as CIF:
```
data_HoB7Mo3
_chemical_formula_sum 'Ho4 B28 Mo12'
_cell_length_a 11.035
_cell_length_b 3.106
_cell_length_c 12.886
_cell_angle_alpha 90.00
_cell_angle_beta 90.00
_cell_angle_gamma 90.00
_space_group_name_H-M_alt 'P n m a'
_space_group_IT_number 62
loop_
_space_group_symop_operation_xyz
'x,y,z'
'-x,-y,-z'
'-x+1/2,-y,z+1/2'
'x+1/2,y,-z+1/2'
'x+1/2,-y+1/2,-z+1/2'
'-x+1/2,y+1/2,z+1/2'
'-x,y+1/2,-z'
'x,-y+1/2,z'
loop_
_atom_site_label
_atom_site_fract_x
_atom_site_fract_y
_atom_site_fract_z
_atom_site_occupancy
Ho1 0.051 0.250 0.192 1
B1 0.010 0.750 0.362 1
B2 0.037 0.750 0.018 1
B3 0.068 0.750 0.616 1
B4 0.166 0.750 0.332 1
B5 0.186 0.750 0.067 1
B6 0.231 0.750 0.581 1
B7 0.250 0.250 0.326 1
Mo1 0.117 0.250 0.473 1
Mo2 0.160 0.250 0.935 1
Mo3 0.185 0.250 0.702 1
```

Values from the calculation:
* volume: 10.04 Å³/atom
* ΔH_f (0 K): -6.2 eV/f.u.


Ho3B7Mo | GGA-PBE | optimized geometry

Cell and atoms, written as CIF:
```
data_Ho3B7Mo
_chemical_formula_sum 'Ho12 B28 Mo4'
_cell_length_a 3.463
_cell_length_b 15.927
_cell_length_c 9.454
_cell_angle_alpha 90.00
_cell_angle_beta 90.00
_cell_angle_gamma 90.00
_space_group_name_H-M_alt 'C m c m'
_space_group_IT_number 63
_space_group_name_Hall '-C 2c 2'
loop_
_atom_site_label
_atom_site_fract_x
_atom_site_fract_y
_atom_site_fract_z
_atom_site_occupancy
Ho1 0.000 0.107 0.060 1
Ho2 0.000 0.243 0.750 1
B1 0.000 0.272 0.033 1
B2 0.000 0.365 0.147 1
B3 0.000 0.455 0.750 1
B4 0.000 0.481 0.092 1
Mo1 0.000 0.053 0.750 1
```

Values from the calculation:
* total magnetic moment: 0.004 μB per cell
* volume: 11.85 Å³/atom
* ΔH_f (0 K): -6.7 eV/f.u.